1.
Material: TcB
Method: DFT, PBE-GGA
State: optimized geometry

## Properties
Symmetry = P-6m2, No. 187

Cell: 2.8804 2.8804 2.9456 Å, 90.00 90.00 120.00°
Positions (direct):
Tc 0.0000 0.0000 0.0000
B 0.3333 0.6667 0.5000


2.
Material: TcB
Method: DFT, PBE-GGA
State: optimized geometry

## Properties
Symmetry = Fm-3m, No. 225

Cell: 3.1149 3.1149 3.1149 Å, 60.00 60.00 60.00°
Positions (direct):
Tc 0.0000 0.0000 0.0000
B 0.5000 0.5000 0.5000


Short version: 2 is the least stable of them.


1.
Material: TcB
Method: DFT, PBE-GGA
State: optimized geometry

## Properties
Symmetry = P6_3/mmc, No. 194

Cell: 2.8754 2.8754 5.9459 Å, 90.00 90.00 120.00°
Positions (direct):
B 0.6667 0.3333 0.7500
Tc 0.0000 0.0000 0.0000
Tc 0.0000 0.0000 0.5000
B 0.3333 0.6667 0.2500


2.
Material: TcB
Method: DFT, PBE-GGA
State: optimized geometry

## Properties
Symmetry = Pm-3m, No. 221

Cell: 2.7334 2.7334 2.7334 Å, 90.00 90.00 90.00°
Positions (direct):
Tc 0.0000 0.0000 0.0000
B 0.5000 0.5000 0.5000


Short version: 2 is the least stable of them.